CaNdMn2O6 | the Materials Project database | PBE with a Hubbard U | optimized geometry; E above lowest polymorph = 0.00 kJ per mole of atoms; symmetry = Pm (6)
1.0
5.444 0.000 0.000
0.000 30.929 0.000
-0.020 0.000 5.501
Ca Nd Mn O
8 8 16 48
direct
0.000 0.000 0.000
0.000 0.250 0.000
0.000 0.750 0.000
0.479 0.500 0.502
0.500 0.125 0.583
0.500 0.875 0.583
0.501 0.376 0.582
0.501 0.624 0.582
0.480 0.000 0.501
0.480 0.250 0.501
0.480 0.750 0.501
0.981 0.125 0.082
0.981 0.374 0.082
0.981 0.626 0.082
0.981 0.875 0.082
0.998 0.500 0.000
0.489 0.312 0.039
0.489 0.688 0.039
0.490 0.062 0.040
0.490 0.188 0.040
0.490 0.437 0.041
0.490 0.563 0.041
0.490 0.812 0.040
0.490 0.938 0.040
0.989 0.313 0.543
0.989 0.687 0.543
0.990 0.062 0.543
0.990 0.187 0.543
0.990 0.813 0.543
0.990 0.938 0.543
0.991 0.437 0.541
0.991 0.563 0.541
0.072 0.125 0.522
0.072 0.375 0.524
0.072 0.625 0.524
0.072 0.875 0.522
0.202 0.447 0.254
0.202 0.553 0.254
0.205 0.302 0.257
0.205 0.698 0.257
0.206 0.052 0.257
0.206 0.948 0.257
0.207 0.198 0.258
0.207 0.802 0.258
0.270 0.449 0.760
0.270 0.551 0.760
0.273 0.302 0.757
0.273 0.698 0.757
0.275 0.052 0.757
0.275 0.198 0.756
0.275 0.802 0.756
0.275 0.948 0.757
0.410 0.125 0.023
0.410 0.875 0.023
0.411 0.375 0.021
0.411 0.625 0.021
0.568 0.500 0.064
0.571 0.000 0.061
0.571 0.250 0.061
0.571 0.750 0.061
0.705 0.323 0.327
0.705 0.677 0.327
0.706 0.073 0.325
0.706 0.927 0.325
0.707 0.177 0.325
0.707 0.823 0.325
0.712 0.426 0.321
0.712 0.574 0.321
0.773 0.323 0.825
0.773 0.677 0.825
0.775 0.073 0.826
0.775 0.177 0.826
0.775 0.823 0.826
0.775 0.927 0.826
0.780 0.428 0.830
0.780 0.572 0.830
0.908 0.500 0.557
0.910 0.000 0.560
0.910 0.250 0.560
0.910 0.750 0.560